Entry 1:
A relaxed Li9Mn2Co5O16 crystal, computed with PBE+U.

Cell and atoms, written as POSCAR:
```
Li9Mn2Co5O16
1.0
-2.4078 -4.6388 2.7124
-4.5851 4.5019 0.4508
-2.0865 -0.9290 -7.4717
O Mn Co Li
16 2 5 9
direct
0.9644 0.7019 0.5629
0.0356 0.2981 0.4371
0.2074 0.4509 0.8210
0.2886 0.5442 0.1824
0.7114 0.4558 0.8176
0.9348 0.2086 0.0827
0.7021 0.9564 0.3157
0.1779 0.9651 0.3223
0.5592 0.3081 0.4125
0.4408 0.6919 0.5875
0.7926 0.5491 0.1790
0.8221 0.0349 0.6777
0.0652 0.7914 0.9173
0.4557 0.2031 0.0648
0.5443 0.7969 0.9352
0.2979 0.0436 0.6843
0.7434 0.2489 0.2550
0.2566 0.7511 0.7450
0.0000 0.0000 0.5000
0.7545 0.7508 0.7452
0.2455 0.2492 0.2548
0.5000 0.5000 0.0000
0.0000 0.5000 0.0000
0.1313 0.6352 0.3782
0.8687 0.3648 0.6218
0.1309 0.1245 0.8667
0.8691 0.8755 0.1333
0.5000 0.0000 0.5000
0.3712 0.3663 0.6245
0.3784 0.8760 0.1325
0.6216 0.1240 0.8675
0.6288 0.6337 0.3755
```

Summary:
* raw total energy: -5.842 eV per atom
* excess energy over the best structure of this formula in the dataset: 12.1 meV per atom
* formation energy from the elements: -1.8520 eV per atom
* space group: No. 2
* magnetization: 10.00 μB per cell
* V: 8.8 Å³ per atom

Entry 2:
A relaxed Sr4Mn5O15 crystal, computed with PBE+U.

Cell and atoms, written as POSCAR:
```
Sr4Mn5O15
1.0
5.4446 0.0000 0.0000
-2.7074 9.0299 0.0000
-2.7209 -2.4743 11.6465
Mn O Sr
10 30 8
direct
0.6033 0.9054 0.8002
0.2002 0.2955 0.6023
0.7027 0.8004 0.1052
0.8977 0.5963 0.7013
0.2973 0.1996 0.8948
0.1023 0.4037 0.2987
0.5000 0.0000 0.5000
0.7998 0.7045 0.3977
0.0000 0.5000 0.0000
0.3967 0.0946 0.1998
0.1563 0.3551 0.9445
0.7508 0.2512 0.2510
0.3419 0.1634 0.0544
0.9446 0.5699 0.8570
0.4432 0.0413 0.8650
0.3555 0.6472 0.0443
0.0554 0.4301 0.1430
0.2713 0.2426 0.7487
0.8437 0.6449 0.0555
0.1389 0.3616 0.4543
0.2492 0.7488 0.7490
0.6581 0.8366 0.9456
0.6445 0.3528 0.9557
0.9575 0.0462 0.8531
0.5568 0.9587 0.1350
0.0425 0.9538 0.1469
0.4577 0.5433 0.3543
0.4735 0.0481 0.3497
0.2540 0.2467 0.2620
0.5423 0.4567 0.6457
0.7460 0.7533 0.7380
0.8611 0.6384 0.5457
0.8533 0.1481 0.5456
0.6661 0.8489 0.4670
0.7287 0.7574 0.2513
0.0606 0.4509 0.6575
0.9394 0.5491 0.3425
0.5265 0.9519 0.6503
0.3339 0.1511 0.5330
0.1467 0.8519 0.4544
0.4469 0.5440 0.8469
0.0545 0.9559 0.6536
0.9455 0.0441 0.3464
0.5531 0.4560 0.1531
0.6513 0.3471 0.4546
0.1523 0.8491 0.9559
0.3487 0.6529 0.5454
0.8477 0.1509 0.0441
```

Summary:
* raw total energy: -6.692 eV per atom
* formation energy from the elements: -2.1860 eV per atom
* space group: No. 2
* magnetization: 34.06 μB per cell
* V: 11.9 Å³ per atom